Record 1
Density functional theory data (PBE-GGA) for a relaxed structure of ReC2.

The space group is P-6m2 (No. 187) and the conventional cell measures 2.8799, 2.8799 and 4.0635 Å, with angles of 90.00, 90.00 and 120.00 degrees. The inequivalent atoms are Re at (0.0000, 0.0000, 0.0000) and C at (0.3333, 0.6667, 0.3293).

The density comes out at 12.0 g/cm³. The value obtained for the energy above the most stable polymorph in this dataset is 31 meV/atom. The crystal system is hexagonal. For the energy of formation, the calculation gives 465 meV per atom.



Record 2
Density functional theory data (PBE-GGA) for a relaxed structure of HoErRh2.

The space group is Fm-3m (No. 225) and the conventional cell measures 6.8229, 6.8229 and 6.8229 Å, with angles of 90.00, 90.00 and 90.00 degrees. The inequivalent atoms are Ho at (0.0000, 0.0000, 0.0000), Er at (0.0000, 0.0000, 0.5000) and Rh at (0.2500, 0.2500, 0.2500).

The density comes out at 11.3 g/cm³. The crystal system is cubic. For the energy of formation, the calculation gives -922 meV per atom.



Question: Look up the energy of formation of the first one.
Answer: 465 meV per atom



Question: Among the records above, which one has the highest energy of formation?
Answer: ReC2



Question: Which value of energy of formation does entry 1 give?
Answer: 465 meV per atom